The following is a GGA-PBE calculation of LuCd2 after structural relaxation, from Materials Project.

a = 5.3821 Å, b = 5.3821 Å, c = 3.2173 Å
α = 90.00°, β = 90.00°, γ = 120.00°
With the nearest neighbours (Å) after each atom.
Positions (direct):
Lu  0.0000  0.0000  0.0000  6 Cd 3.11, 2 Lu 3.22
Cd  0.6667  0.3333  0.9534  3 Lu 3.11, 5 Cd 3.12-3.22
Cd  0.3333  0.6667  0.0466  3 Lu 3.11, 5 Cd 3.12-3.22

- crystal system = trigonal
- volume (Å³ per cell) = 80.7
- symmetry = P-3m1 (164)
- uncorrected energy (eV per atom) = -1.98

The following is a GGA-PBE calculation of LuCdNi4 after structural relaxation, from Materials Project.

a = 4.9223 Å, b = 4.9223 Å, c = 4.9223 Å
α = 60.00°, β = 60.00°, γ = 60.00°
With the nearest neighbours (Å) after each atom.
Positions (direct):
Lu  0.2500  0.2500  0.2500  12 Ni 2.89, 4 Cd 3.01
Cd  0.0000  0.0000  0.0000  12 Ni 2.88, 4 Lu 3.01
Ni  0.6257  0.6257  0.1230  6 Ni 2.45-2.47
Ni  0.6257  0.1230  0.6257  6 Ni 2.45-2.47
Ni  0.1230  0.6257  0.6257  6 Ni 2.45-2.47
Ni  0.6257  0.6257  0.6257  6 Ni 2.45-2.47

- crystal system = cubic
- volume (Å³ per cell) = 84.3
- symmetry = F-43m (216)
- uncorrected energy (eV per atom) = -5.14

The following is a GGA-PBE calculation of Lu2CdPd2 after structural relaxation, from Materials Project.

a = 7.6595 Å, b = 7.6595 Å, c = 3.6360 Å
α = 90.00°, β = 90.00°, γ = 90.00°
With the nearest neighbours (Å) after each atom.
Positions (direct):
Lu  0.6722  0.1722  0.5000  6 Pd 2.82-2.95
Lu  0.3278  0.8278  0.5000  6 Pd 2.82-2.95
Lu  0.1722  0.3278  0.5000  6 Pd 2.82-2.95
Lu  0.8278  0.6722  0.5000  6 Pd 2.82-2.95
Cd  0.0000  0.0000  0.0000  4 Pd 3.01, 8 Lu 3.37
Cd  0.5000  0.5000  0.0000  4 Pd 3.01, 8 Lu 3.37
Pd  0.1285  0.6285  0.0000  1 Pd 2.78, 6 Lu 2.82-2.95, 2 Cd 3.01
Pd  0.8715  0.3715  0.0000  1 Pd 2.78, 6 Lu 2.82-2.95, 2 Cd 3.01
Pd  0.6285  0.8715  0.0000  1 Pd 2.78, 6 Lu 2.82-2.95, 2 Cd 3.01
Pd  0.3715  0.1285  0.0000  1 Pd 2.78, 6 Lu 2.82-2.95, 2 Cd 3.01

- crystal system = tetragonal
- volume (Å³ per cell) = 213.3
- symmetry = P4/mbm (127)
- uncorrected energy (eV per atom) = -4.90

The following is a GGA-PBE calculation of LuCdPd2 after structural relaxation, from Materials Project.

a = 4.7430 Å, b = 4.7430 Å, c = 4.7430 Å
α = 60.00°, β = 60.00°, γ = 60.00°
With the nearest neighbours (Å) after each atom.
Positions (direct):
Lu  0.0000  0.0000  0.0000  8 Pd 2.90
Cd  0.5000  0.5000  0.5000  8 Pd 2.90
Pd  0.2500  0.2500  0.2500  4 Lu 2.90, 4 Cd 2.90
Pd  0.7500  0.7500  0.7500  4 Cd 2.90, 4 Lu 2.90

- crystal system = cubic
- volume (Å³ per cell) = 75.4
- symmetry = Fm-3m (225)
- uncorrected energy (eV per atom) = -4.73

| no. | ΔE_f (meV/atom) |
| --- | --- |
| 1 | 141 |
| 2 | -375 |
| 3 | -834 |
| 4 | -776 |